[1]
## Mg2Cd (PBE)

Data for crystalline Mg2Cd at its relaxed geometry.

Unit cell a=5.4157 b=5.4157 c=5.1975 alpha=90.00 beta=90.00 gamma=120.00
Element x y z (fractional)
Mg1 0.3355 0.3355 0.0000
Mg2 0.0000 0.6645 0.0000
Mg3 0.6645 0.0000 0.0000
Mg4 0.0000 0.0000 0.5000
Cd1 0.6667 0.3333 0.5000
Cd2 0.3333 0.6667 0.5000

Computed properties:
Its symmetry is P-62m, No. 189.



[2]
## TlFeS2 (PBE)

Data for crystalline TlFeS2 at its relaxed geometry.

Unit cell a=6.5047 b=6.5047 c=6.8442 alpha=64.49 beta=64.49 gamma=46.15
Element x y z (fractional)
Tl1 0.6826 0.6826 0.3592
Tl2 0.3174 0.3174 0.6408
Fe1 0.2506 0.7494 0.0000
Fe2 0.7494 0.2506 0.0000
S1 0.3434 0.3434 0.0665
S2 0.6566 0.6566 0.9335
S3 0.0403 0.0403 0.7252
S4 0.9597 0.9597 0.2748

Computed properties:
Its total magnetic moment is 0.00 μB per atom. Its symmetry is C2/m, No. 12.



[3]
## CaC2N2O2 (PBE)

Data for crystalline CaC2N2O2 at its relaxed geometry.

Unit cell a=7.8262 b=7.8262 c=7.8262 alpha=95.49 beta=95.49 gamma=95.49
Element x y z (fractional)
Ca1 0.7513 0.0371 0.3861
Ca2 0.3861 0.7513 0.0371
Ca3 0.0371 0.3861 0.7513
Ca4 0.8861 0.5371 0.2513
Ca5 0.2513 0.8861 0.5371
Ca6 0.5371 0.2513 0.8861
C1 0.5535 0.5956 0.3787
C2 0.3787 0.5535 0.5956
C3 0.5956 0.3787 0.5535
C4 0.8787 0.0956 0.0535
C5 0.0535 0.8787 0.0956
C6 0.0956 0.0535 0.8787
C7 0.8555 0.7672 0.6274
C8 0.6274 0.8555 0.7672
C9 0.7672 0.6274 0.8555
C10 0.1274 0.2672 0.3555
C11 0.3555 0.1274 0.2672
C12 0.2672 0.3555 0.1274
N1 0.4188 0.6430 0.4616
N2 0.4616 0.4188 0.6430
N3 0.6430 0.4616 0.4188
N4 0.9616 0.1430 0.9188
N5 0.9188 0.9616 0.1430
N6 0.1430 0.9188 0.9616
N7 0.7331 0.8779 0.6425
N8 0.6425 0.7331 0.8779
N9 0.8779 0.6425 0.7331
N10 0.1425 0.3779 0.2331
N11 0.2331 0.1425 0.3779
N12 0.3779 0.2331 0.1425
O1 0.6072 0.6822 0.2566
O2 0.2566 0.6072 0.6822
O3 0.6822 0.2566 0.6072
O4 0.7566 0.1822 0.1072
O5 0.1072 0.7566 0.1822
O6 0.1822 0.1072 0.7566
O7 0.9494 0.7824 0.5000
O8 0.5000 0.9494 0.7824
O9 0.7824 0.5000 0.9494
O10 0.0000 0.2824 0.4494
O11 0.4494 0.0000 0.2824
O12 0.2824 0.4494 0.0000

Computed properties:
Its symmetry is R3c, No. 161.



[4]
## YO (PBE)

Data for crystalline YO at its relaxed geometry.

Unit cell a=4.0131 b=4.0131 c=4.8422 alpha=90.00 beta=90.00 gamma=120.00
Element x y z (fractional)
Y1 0.6667 0.3333 0.7500
Y2 0.3333 0.6667 0.2500
O1 0.6667 0.3333 0.2500
O2 0.3333 0.6667 0.7500

Computed properties:
Its total magnetic moment is 0.16 μB per atom. Its symmetry is P6_3/mmc, No. 194.



[5]
## CrRe13B6 (PBE)

Data for crystalline CrRe13B6 at its relaxed geometry.

Unit cell a=7.5059 b=7.5059 c=4.9267 alpha=90.00 beta=90.00 gamma=120.00
Element x y z (fractional)
Cr1 0.6667 0.3333 0.4085
Re1 0.8770 0.1230 0.4524
Re2 0.2459 0.1230 0.4524
Re3 0.8770 0.7541 0.4524
Re4 0.7861 0.2139 0.9517
Re5 0.4278 0.2139 0.9517
Re6 0.7861 0.5722 0.9517
Re7 0.0000 0.0000 0.9091
Re8 0.4569 0.5431 0.2508
Re9 0.0862 0.5431 0.2508
Re10 0.4569 0.9138 0.2508
Re11 0.2108 0.7892 0.7507
Re12 0.5785 0.7892 0.7507
Re13 0.2108 0.4215 0.7507
B1 0.1432 0.8568 0.1611
B2 0.7137 0.8568 0.1611
B3 0.1432 0.2863 0.1611
B4 0.5258 0.4742 0.6529
B5 0.9485 0.4742 0.6529
B6 0.5258 0.0515 0.6529

Computed properties:
Its total magnetic moment is 0.00 μB per atom. Its symmetry is P3m1, No. 156.



[6]
## SmIO (PBE)

Data for crystalline SmIO at its relaxed geometry.

Unit cell a=4.0402 b=4.0402 c=9.4259 alpha=90.00 beta=90.00 gamma=90.00
Element x y z (fractional)
Sm1 0.0000 0.5000 0.1217
Sm2 0.5000 0.0000 0.8783
I1 0.0000 0.5000 0.6738
I2 0.5000 0.0000 0.3262
O1 0.0000 0.0000 0.0000
O2 0.5000 0.5000 0.0000

Computed properties:
Its symmetry is P4/nmm, No. 129.



[7]
## GdSn3 (PBE)

Data for crystalline GdSn3 at its relaxed geometry.

Unit cell a=4.7430 b=4.7430 c=4.7430 alpha=90.00 beta=90.00 gamma=90.00
Element x y z (fractional)
Gd1 0.0000 0.0000 0.0000
Sn1 0.5000 0.0000 0.5000
Sn2 0.0000 0.5000 0.5000
Sn3 0.5000 0.5000 0.0000

Computed properties:
Its symmetry is Pm-3m, No. 221.



[8]
## Ac2ZnIr (PBE)

Data for crystalline Ac2ZnIr at its relaxed geometry.

Unit cell a=5.3666 b=5.3666 c=5.3666 alpha=60.00 beta=60.00 gamma=60.00
Element x y z (fractional)
Ac1 0.7500 0.7500 0.7500
Ac2 0.2500 0.2500 0.2500
Zn1 0.0000 0.0000 0.0000
Ir1 0.5000 0.5000 0.5000

Computed properties:
Its symmetry is Fm-3m, No. 225.



no.,energy of formation (kJ/mol of formula units),energy (eV per atom)
1,-15,-1.425
2,-240,-5.147
3,-967,-7.955
4,-597,-8.459
5,-460,-10.814
6,-849,-6.434
7,-179,-6.989
8,-145,-4.960